Entry 1:
# Ba14Na7CaN6 PBE-GGA optimized geometry
# Spin magnetization   0.00 μB/f.u.
# Final energy   -3.4671 eV per atom
# Energy of formation   -396 meV/atom
data_Ba14Na7CaN6
_chemical_formula_sum 'Ba84 Na42 Ca6 N36'
_space_group_name_H-M_alt 'R -3 c'
_space_group_IT_number 167
_space_group_name_Hall '-R 3 2"c'
_cell_length_a 11.4028
_cell_length_b 11.4028
_cell_length_c 63.3162
_cell_angle_alpha 90.00
_cell_angle_beta 90.00
_cell_angle_gamma 120.00
loop_
_atom_site_label
_atom_site_type_symbol
_atom_site_fract_x
_atom_site_fract_y
_atom_site_fract_z
Ba1 Ba 0.0000 0.0000 0.0527
Ba2 Ba 0.0105 0.2757 0.1200
Ba3 Ba 0.0382 0.4202 0.6494
Na1 Na 0.0000 0.0000 0.1647
Na2 Na 0.0000 0.0000 0.2217
Na3 Na 0.0000 0.2907 0.2500
Ca1 Ca 0.0000 0.0000 0.0000
N1 N 0.0340 0.1982 0.0235

---

Entry 2:
# BaCa2P6N12 PBE-GGA optimized geometry
# Spin magnetization   0.01 μB/f.u.
# Final energy   -7.4453 eV per atom
# Energy of formation   -1059 meV/atom
data_BaCa2P6N12
_chemical_formula_sum 'Ba4 Ca8 P24 N48'
_space_group_name_H-M_alt 'P a -3'
_space_group_IT_number 205
_space_group_name_Hall '-P 2ac 2ab 3'
_cell_length_a 10.0165
_cell_length_b 10.0165
_cell_length_c 10.0165
_cell_angle_alpha 90.00
_cell_angle_beta 90.00
_cell_angle_gamma 90.00
loop_
_atom_site_label
_atom_site_type_symbol
_atom_site_fract_x
_atom_site_fract_y
_atom_site_fract_z
Ba1 Ba 0.0000 0.0000 0.0000
Ca1 Ca 0.1249 0.6249 0.8751
P1 P 0.1195 0.1899 0.3467
N1 N 0.0070 0.0885 0.2849
N2 N 0.1211 0.1655 0.7689

---

Entry 3:
# Ba3Ca2Si2N6 PBE-GGA optimized geometry
# Spin magnetization   0.00 μB/f.u.
# Final energy   -6.4337 eV per atom
# Energy of formation   -1167 meV/atom
data_Ba3Ca2Si2N6
_chemical_formula_sum 'Ba12 Ca8 Si8 N24'
_space_group_name_H-M_alt 'C 1 2/c 1'
_space_group_IT_number 15
_cell_length_a 10.1488
_cell_length_b 6.8840
_cell_length_c 13.4410
_cell_angle_alpha 90.00
_cell_angle_beta 101.89
_cell_angle_gamma 90.00
loop_
_space_group_symop_operation_xyz
'x,y,z'
'-x,-y,-z'
'-x,y,-z+1/2'
'x,-y,z+1/2'
'x+1/2,y+1/2,z'
'-x+1/2,-y+1/2,-z'
'-x+1/2,y+1/2,-z+1/2'
'x+1/2,-y+1/2,z+1/2'
loop_
_atom_site_label
_atom_site_type_symbol
_atom_site_fract_x
_atom_site_fract_y
_atom_site_fract_z
Ba1 Ba 0.0000 0.0966 0.2500
Ba2 Ba 0.0594 0.2381 0.9927
Ca1 Ca 0.1514 0.4388 0.7185
Si1 Si 0.2208 0.3514 0.4205
N1 N 0.0632 0.4536 0.3699
N2 N 0.1677 0.1021 0.6607
N3 N 0.2128 0.0906 0.4460

---

Entry 4:
# Ba2CaWN4 PBE-GGA optimized geometry
# Spin magnetization   0.00 μB/f.u.
# Final energy   -7.4827 eV per atom
# Energy of formation   -1145 meV/atom
data_Ba2CaWN4
_chemical_formula_sum 'Ba32 Ca16 W16 N64'
_space_group_name_H-M_alt 'F d d d'
_space_group_IT_number 70
_cell_length_a 10.9541
_cell_length_b 12.1084
_cell_length_c 18.0792
_cell_angle_alpha 90.00
_cell_angle_beta 90.00
_cell_angle_gamma 90.00
loop_
_space_group_symop_operation_xyz
'x,y,z'
'-x,-y,-z'
'-x+1/4,-y+1/4,z'
'x+1/4,y+1/4,-z'
'x,-y+1/4,-z+1/4'
'-x,y+1/4,z+1/4'
'-x+1/4,y,-z+1/4'
'x+1/4,-y,z+1/4'
'x,y+1/2,z+1/2'
'-x,-y+1/2,-z+1/2'
'-x+1/4,-y+3/4,z+1/2'
'x+1/4,y+3/4,-z+1/2'
'x,-y+3/4,-z+3/4'
'-x,y+3/4,z+3/4'
'-x+1/4,y+1/2,-z+3/4'
'x+1/4,-y+1/2,z+3/4'
'x+1/2,y,z+1/2'
'-x+1/2,-y,-z+1/2'
'-x+3/4,-y+1/4,z+1/2'
'x+3/4,y+1/4,-z+1/2'
'x+1/2,-y+1/4,-z+3/4'
'-x+1/2,y+1/4,z+3/4'
'-x+3/4,y,-z+3/4'
'x+3/4,-y,z+3/4'
'x+1/2,y+1/2,z'
'-x+1/2,-y+1/2,-z'
'-x+3/4,-y+3/4,z'
'x+3/4,y+3/4,-z'
'x+1/2,-y+3/4,-z+1/4'
'-x+1/2,y+3/4,z+1/4'
'-x+3/4,y+1/2,-z+1/4'
'x+3/4,-y+1/2,z+1/4'
loop_
_atom_site_label
_atom_site_type_symbol
_atom_site_fract_x
_atom_site_fract_y
_atom_site_fract_z
Ba1 Ba 0.0551 0.3750 0.3750
Ba2 Ba 0.1250 0.1250 0.5135
Ca1 Ca 0.1250 0.1250 0.2866
W1 W 0.1250 0.3677 0.6250
N1 N 0.0147 0.0261 0.3830
N2 N 0.1156 0.2916 0.2098

---

Entry 5:
# BaCaNdNbO6 PBE-GGA optimized geometry
# Spin magnetization   0.00 μB/f.u.
# Final energy   -7.7878 eV per atom
# E above lowest polymorph   0 meV/atom
# Energy of formation   -3352 meV/atom
data_BaCaNdNbO6
_chemical_formula_sum 'Ba4 Ca4 Nd4 Nb4 O24'
_space_group_name_H-M_alt 'P 2 2 2'
_space_group_IT_number 16
_cell_length_a 8.4729
_cell_length_b 8.5011
_cell_length_c 8.5273
_cell_angle_alpha 90.00
_cell_angle_beta 90.00
_cell_angle_gamma 90.00
loop_
_space_group_symop_operation_xyz
'x,y,z'
'-x,-y,z'
'x,-y,-z'
'-x,y,-z'
loop_
_atom_site_label
_atom_site_type_symbol
_atom_site_fract_x
_atom_site_fract_y
_atom_site_fract_z
Ba1 Ba 0.0000 0.0000 0.0000
Ba2 Ba 0.0000 0.0000 0.5000
Ba3 Ba 0.0000 0.5000 0.0000
Ba4 Ba 0.5000 0.5000 0.5000
Ca1 Ca 0.0000 0.5000 0.5000
Ca2 Ca 0.5000 0.0000 0.0000
Ca3 Ca 0.5000 0.0000 0.5000
Ca4 Ca 0.5000 0.5000 0.0000
Nd1 Nd 0.2563 0.2536 0.2504
Nb1 Nb 0.2568 0.2486 0.7481
O1 O 0.0209 0.2737 0.7854
O2 O 0.2072 0.3086 0.5207
O3 O 0.2217 0.0172 0.7186
O4 O 0.3011 0.2029 0.9811
O5 O 0.3056 0.4779 0.8003
O6 O 0.4814 0.2075 0.6844

---

Entry 6:
# BaCaNdNbO6 PBE-GGA optimized geometry
# Spin magnetization   0.00 μB/f.u.
# Final energy   -7.7855 eV per atom
# E above lowest polymorph   2 meV/atom
# Energy of formation   -3349 meV/atom
data_BaCaNdNbO6
_chemical_formula_sum 'Ba2 Ca2 Nd2 Nb2 O12'
_space_group_name_H-M_alt 'P -1'
_space_group_IT_number 2
_cell_length_a 5.9567
_cell_length_b 6.0404
_cell_length_c 8.5086
_cell_angle_alpha 89.39
_cell_angle_beta 89.33
_cell_angle_gamma 89.94
loop_
_space_group_symop_operation_xyz
'x,y,z'
'-x,-y,-z'
loop_
_atom_site_label
_atom_site_type_symbol
_atom_site_fract_x
_atom_site_fract_y
_atom_site_fract_z
Ba1 Ba 0.0050 0.0348 0.2491
Ca1 Ca 0.4895 0.5416 0.2452
Nd1 Nd 0.0000 0.5000 0.0000
Nd2 Nd 0.5000 0.0000 0.5000
Nb1 Nb 0.0000 0.5000 0.5000
Nb2 Nb 0.5000 0.0000 0.0000
O1 O 0.1134 0.5028 0.7284
O2 O 0.1885 0.7712 0.4580
O3 O 0.2253 0.8113 0.0300
O4 O 0.2727 0.3151 0.4352
O5 O 0.3234 0.2814 0.0592
O6 O 0.4309 0.0635 0.7704

---

Entry 7:
# BaCaNdNbO6 PBE-GGA optimized geometry
# Spin magnetization   0.00 μB/f.u.
# Final energy   -7.6724 eV per atom
# E above lowest polymorph   115 meV/atom
# Energy of formation   -3236 meV/atom
data_BaCaNdNbO6
_chemical_formula_sum 'Ba4 Ca4 Nd4 Nb4 O24'
_space_group_name_H-M_alt 'F -4 3 m'
_space_group_IT_number 216
_space_group_name_Hall 'F -4 2 3'
_cell_length_a 8.6372
_cell_length_b 8.6372
_cell_length_c 8.6372
_cell_angle_alpha 90.00
_cell_angle_beta 90.00
_cell_angle_gamma 90.00
loop_
_atom_site_label
_atom_site_type_symbol
_atom_site_fract_x
_atom_site_fract_y
_atom_site_fract_z
Ba1 Ba 0.0000 0.0000 0.0000
Ca1 Ca 0.0000 0.0000 0.5000
Nd1 Nd 0.2500 0.2500 0.2500
Nb1 Nb 0.2500 0.2500 0.7500
O1 O 0.0171 0.2500 0.7500

---

Entry 8:
# Ba2CaNbO6 PBE-GGA optimized geometry
# Spin magnetization   1.00 μB/f.u.
# Final energy   -7.2389 eV per atom
# Energy of formation   -3088 meV/atom
data_Ba2CaNbO6
_chemical_formula_sum 'Ba8 Ca4 Nb4 O24'
_space_group_name_H-M_alt 'F m -3 m'
_space_group_IT_number 225
_space_group_name_Hall '-F 4 2 3'
_cell_length_a 8.6194
_cell_length_b 8.6194
_cell_length_c 8.6194
_cell_angle_alpha 90.00
_cell_angle_beta 90.00
_cell_angle_gamma 90.00
loop_
_atom_site_label
_atom_site_type_symbol
_atom_site_fract_x
_atom_site_fract_y
_atom_site_fract_z
Ba1 Ba 0.2500 0.2500 0.2500
Ca1 Ca 0.0000 0.0000 0.0000
Nb1 Nb 0.0000 0.0000 0.5000
O1 O 0.0000 0.0000 0.2663

---

Entry 9:
# Ba8Ca3Nb5O24 PBE-GGA optimized geometry
# Spin magnetization   1.00 μB/f.u.
# Final energy   -7.5912 eV per atom
# Energy of formation   -3238 meV/atom
data_Ba8Ca3Nb5O24
_chemical_formula_sum 'Ba16 Ca6 Nb10 O48'
_space_group_name_H-M_alt 'I 4/m m m'
_space_group_IT_number 139
_space_group_name_Hall '-I 4 2'
_cell_length_a 8.4933
_cell_length_b 8.4933
_cell_length_c 17.2407
_cell_angle_alpha 90.00
_cell_angle_beta 90.00
_cell_angle_gamma 90.00
loop_
_atom_site_label
_atom_site_type_symbol
_atom_site_fract_x
_atom_site_fract_y
_atom_site_fract_z
Ba1 Ba 0.2464 0.2464 0.1250
Ca1 Ca 0.0000 0.0000 0.5000
Ca2 Ca 0.0000 0.5000 0.2500
Nb1 Nb 0.0000 0.0000 0.0000
Nb2 Nb 0.0000 0.0000 0.2552
Nb3 Nb 0.0000 0.5000 0.0000
O1 O 0.0000 0.0000 0.1152
O2 O 0.0000 0.0000 0.3658
O3 O 0.0000 0.2324 0.2416
O4 O 0.0000 0.2448 0.0000
O5 O 0.0000 0.2680 0.5000
O6 O 0.0000 0.5000 0.1154

---

Entry 10:
# BaCaNdSbO6 PBE-GGA optimized geometry
# Spin magnetization   0.00 μB/f.u.
# Final energy   -6.8215 eV per atom
# E above lowest polymorph   0 meV/atom
# Energy of formation   -2983 meV/atom
data_BaCaNdSbO6
_chemical_formula_sum 'Ba2 Ca2 Nd2 Sb2 O12'
_space_group_name_H-M_alt 'P -1'
_space_group_IT_number 2
_cell_length_a 5.9632
_cell_length_b 6.0251
_cell_length_c 8.5176
_cell_angle_alpha 89.67
_cell_angle_beta 89.36
_cell_angle_gamma 89.97
loop_
_space_group_symop_operation_xyz
'x,y,z'
'-x,-y,-z'
loop_
_atom_site_label
_atom_site_type_symbol
_atom_site_fract_x
_atom_site_fract_y
_atom_site_fract_z
Ba1 Ba 0.0061 0.0300 0.2500
Ca1 Ca 0.4912 0.5375 0.2453
Nd1 Nd 0.0000 0.5000 0.0000
Nd2 Nd 0.5000 0.0000 0.5000
Sb1 Sb 0.0000 0.5000 0.5000
Sb2 Sb 0.5000 0.0000 0.0000
O1 O 0.1059 0.4965 0.7287
O2 O 0.1945 0.7668 0.4628
O3 O 0.2286 0.8066 0.0245
O4 O 0.2704 0.3114 0.4377
O5 O 0.3210 0.2798 0.0556
O6 O 0.4399 0.0603 0.7700

---

- Look up the final energy of the eighth one.
  -7.2389 eV per atom

---

What did the fifth record say?
# BaCaNdNbO6 PBE-GGA optimized geometry
# Spin magnetization   0.00 μB/f.u.
# Final energy   -7.7878 eV per atom
# E above lowest polymorph   0 meV/atom
# Energy of formation   -3352 meV/atom
data_BaCaNdNbO6
_chemical_formula_sum 'Ba4 Ca4 Nd4 Nb4 O24'
_space_group_name_H-M_alt 'P 2 2 2'
_space_group_IT_number 16
_cell_length_a 8.4729
_cell_length_b 8.5011
_cell_length_c 8.5273
_cell_angle_alpha 90.00
_cell_angle_beta 90.00
_cell_angle_gamma 90.00
loop_
_space_group_symop_operation_xyz
'x,y,z'
'-x,-y,z'
'x,-y,-z'
'-x,y,-z'
loop_
_atom_site_label
_atom_site_type_symbol
_atom_site_fract_x
_atom_site_fract_y
_atom_site_fract_z
Ba1 Ba 0.0000 0.0000 0.0000
Ba2 Ba 0.0000 0.0000 0.5000
Ba3 Ba 0.0000 0.5000 0.0000
Ba4 Ba 0.5000 0.5000 0.5000
Ca1 Ca 0.0000 0.5000 0.5000
Ca2 Ca 0.5000 0.0000 0.0000
Ca3 Ca 0.5000 0.0000 0.5000
Ca4 Ca 0.5000 0.5000 0.0000
Nd1 Nd 0.2563 0.2536 0.2504
Nb1 Nb 0.2568 0.2486 0.7481
O1 O 0.0209 0.2737 0.7854
O2 O 0.2072 0.3086 0.5207
O3 O 0.2217 0.0172 0.7186
O4 O 0.3011 0.2029 0.9811
O5 O 0.3056 0.4779 0.8003
O6 O 0.4814 0.2075 0.6844

---

- Which formula does entry 1 have?
  Ba14Na7CaN6

---

- Among the records above, which one has the highest energy of formation?
  Ba14Na7CaN6